{
  "formula": "Ca4Ge3O11",
  "functional": "PBE",
  "state": "optimized geometry",
  "e_form_ev_per_atom": -2.5898,
  "lattice": [[4.7070, -5.2939, 0.0000], [4.7070, 5.2939, 0.0000], [0.0000, 0.0000, 21.3895]],
  "species": ["O", "O", "O", "O", "O", "O", "O", "O", "O", "O", "O", "O", "O", "O", "O", "O", "O", "O", "O", "O", "O", "O", "O", "O", "O", "O", "O", "O", "O", "O", "O", "O", "O", "O", "O", "O", "O", "O", "O", "O", "O", "O", "O", "O", "Ge", "Ge", "Ge", "Ge", "Ge", "Ge", "Ge", "Ge", "Ge", "Ge", "Ge", "Ge", "Ca", "Ca", "Ca", "Ca", "Ca", "Ca", "Ca", "Ca", "Ca", "Ca", "Ca", "Ca", "Ca", "Ca", "Ca", "Ca"],
  "fractional_positions": [[0.8731, 0.4082, 0.8352], [0.3594, 0.9460, 0.9440], [0.0453, 0.0756, 0.8211], [0.6346, 0.7213, 0.6102], [0.3606, 0.4695, 0.2500], [0.8731, 0.4082, 0.6648], [0.7213, 0.6346, 0.1102], [0.8128, 0.8371, 0.2500], [0.0756, 0.0453, 0.3211], [0.9460, 0.3594, 0.4440], [0.0453, 0.0756, 0.6789], [0.1630, 0.9578, 0.0531], [0.4082, 0.8731, 0.1648], [0.4695, 0.3606, 0.7500], [0.7023, 0.0003, 0.4594], [0.4082, 0.8731, 0.3352], [0.3512, 0.6162, 0.0281], [0.6162, 0.3512, 0.5281], [0.0754, 0.5474, 0.3277], [0.0756, 0.0453, 0.1789], [0.9578, 0.1630, 0.9469], [0.3594, 0.9460, 0.5560], [0.2747, 0.7618, 0.6758], [0.7213, 0.6346, 0.3898], [0.0003, 0.7023, 0.5406], [0.3877, 0.2514, 0.1052], [0.3512, 0.6162, 0.4719], [0.2514, 0.3877, 0.8948], [0.6162, 0.3512, 0.9719], [0.2514, 0.3877, 0.6052], [0.5474, 0.0754, 0.8277], [0.7618, 0.2747, 0.3242], [0.7618, 0.2747, 0.1758], [0.9578, 0.1630, 0.5531], [0.8371, 0.8128, 0.7500], [0.1630, 0.9578, 0.4469], [0.6346, 0.7213, 0.8898], [0.2747, 0.7618, 0.8242], [0.3877, 0.2514, 0.3948], [0.7023, 0.0003, 0.0406], [0.9460, 0.3594, 0.0560], [0.5474, 0.0754, 0.6723], [0.0754, 0.5474, 0.1723], [0.0003, 0.7023, 0.9594], [0.2709, 0.0297, 0.1274], [0.7828, 0.2134, 0.0038], [0.7828, 0.2134, 0.4962], [0.8714, 0.4624, 0.3717], [0.2134, 0.7828, 0.9962], [0.2134, 0.7828, 0.5038], [0.2709, 0.0297, 0.3726], [0.0297, 0.2709, 0.8726], [0.4624, 0.8714, 0.8717], [0.0297, 0.2709, 0.6274], [0.8714, 0.4624, 0.1283], [0.4624, 0.8714, 0.6283], [0.1419, 0.7915, 0.2500], [0.5518, 0.3974, 0.8591], [0.5518, 0.3974, 0.6409], [0.2890, 0.0400, 0.7500], [0.6909, 0.6909, 0.0000], [0.9548, 0.7450, 0.8518], [0.3974, 0.5518, 0.3591], [0.2853, 0.2853, 0.5000], [0.7450, 0.9548, 0.1482], [0.3974, 0.5518, 0.1409], [0.2853, 0.2853, 0.0000], [0.7915, 0.1419, 0.7500], [0.9548, 0.7450, 0.6482], [0.6909, 0.6909, 0.5000], [0.0400, 0.2890, 0.2500], [0.7450, 0.9548, 0.3518]]
}



{
  "formula": "CaSn4S9",
  "functional": "PBE",
  "state": "optimized geometry",
  "e_form_ev_per_atom": -0.8029,
  "relative_energy_ev_per_atom": 0.0337,
  "lattice": [[6.3502, 1.0855, -2.4048], [1.0283, -8.1691, -0.9720], [-4.6754, 3.0355, -10.9758]],
  "species": ["S", "S", "S", "S", "S", "S", "S", "S", "S", "S", "S", "S", "S", "S", "S", "S", "S", "S", "Sn", "Sn", "Sn", "Sn", "Sn", "Sn", "Sn", "Sn", "Ca", "Ca"],
  "fractional_positions": [[0.6128, 0.8360, 0.9053], [0.4335, 0.6037, 0.6348], [0.1539, 0.9789, 0.8302], [0.6128, 0.1640, 0.5947], [0.8461, 0.9789, 0.3302], [0.1048, 0.2774, 0.4795], [0.8952, 0.2774, 0.9795], [0.3872, 0.1640, 0.0947], [0.3872, 0.8360, 0.4053], [0.5665, 0.6037, 0.1348], [0.0240, 0.5000, 0.2500], [0.5665, 0.3963, 0.3652], [0.9760, 0.5000, 0.7500], [0.4335, 0.3963, 0.8652], [0.8461, 0.0211, 0.1698], [0.8952, 0.7226, 0.5205], [0.1048, 0.7226, 0.0205], [0.1539, 0.0211, 0.6698], [0.6997, 0.3067, 0.1622], [0.7784, 0.4263, 0.5613], [0.3003, 0.3067, 0.6622], [0.2216, 0.4263, 0.0613], [0.3003, 0.6933, 0.8378], [0.2216, 0.5737, 0.4387], [0.6997, 0.6933, 0.3378], [0.7784, 0.5737, 0.9387], [0.2218, 0.0000, 0.2500], [0.7782, 0.0000, 0.7500]]
}



{
  "formula": "Eu3Sn13Rh4",
  "functional": "PBE",
  "state": "optimized geometry",
  "e_form_ev_per_atom": -0.5445,
  "lattice": [[-0.3535, -8.7300, -4.5903], [5.6812, 3.5745, -7.2357], [8.0627, -2.9015, 4.8972]],
  "species": ["Sn", "Sn", "Sn", "Sn", "Sn", "Sn", "Sn", "Sn", "Sn", "Sn", "Sn", "Sn", "Sn", "Sn", "Sn", "Sn", "Sn", "Sn", "Sn", "Sn", "Sn", "Sn", "Sn", "Sn", "Sn", "Sn", "Rh", "Rh", "Rh", "Rh", "Rh", "Rh", "Rh", "Rh", "Eu", "Eu", "Eu", "Eu", "Eu", "Eu"],
  "fractional_positions": [[0.3464, 0.8027, 0.5000], [0.5000, 0.5000, 0.5000], [0.6973, 0.8464, 0.0000], [0.0000, 0.0000, 0.0000], [0.0000, 0.3027, 0.8464], [0.6536, 0.8027, 0.5000], [0.6973, 0.1536, 0.0000], [0.1536, 0.0000, 0.6973], [0.8464, 0.0000, 0.6973], [0.0000, 0.6973, 0.1536], [0.5000, 0.6536, 0.1973], [0.5000, 0.3464, 0.1973], [0.1973, 0.5000, 0.6536], [0.3027, 0.8464, 0.0000], [0.0000, 0.6973, 0.8464], [0.8464, 0.0000, 0.3027], [0.8027, 0.5000, 0.6536], [0.5000, 0.6536, 0.8027], [0.3027, 0.1536, 0.0000], [0.1536, 0.0000, 0.3027], [0.3464, 0.1973, 0.5000], [0.6536, 0.1973, 0.5000], [0.8027, 0.5000, 0.3464], [0.5000, 0.3464, 0.8027], [0.0000, 0.3027, 0.1536], [0.1973, 0.5000, 0.3464], [0.7500, 0.2500, 0.7500], [0.2500, 0.2500, 0.7500], [0.7500, 0.2500, 0.2500], [0.2500, 0.7500, 0.7500], [0.7500, 0.7500, 0.7500], [0.7500, 0.7500, 0.2500], [0.2500, 0.7500, 0.2500], [0.2500, 0.2500, 0.2500], [0.7500, 0.5000, 0.0000], [0.0000, 0.2500, 0.5000], [0.5000, 0.0000, 0.7500], [0.5000, 0.0000, 0.2500], [0.0000, 0.7500, 0.5000], [0.2500, 0.5000, 0.0000]]
}



Copy entry 2 word for word.
{
  "formula": "CaSn4S9",
  "functional": "PBE",
  "state": "optimized geometry",
  "e_form_ev_per_atom": -0.8029,
  "relative_energy_ev_per_atom": 0.0337,
  "lattice": [[6.3502, 1.0855, -2.4048], [1.0283, -8.1691, -0.9720], [-4.6754, 3.0355, -10.9758]],
  "species": ["S", "S", "S", "S", "S", "S", "S", "S", "S", "S", "S", "S", "S", "S", "S", "S", "S", "S", "Sn", "Sn", "Sn", "Sn", "Sn", "Sn", "Sn", "Sn", "Ca", "Ca"],
  "fractional_positions": [[0.6128, 0.8360, 0.9053], [0.4335, 0.6037, 0.6348], [0.1539, 0.9789, 0.8302], [0.6128, 0.1640, 0.5947], [0.8461, 0.9789, 0.3302], [0.1048, 0.2774, 0.4795], [0.8952, 0.2774, 0.9795], [0.3872, 0.1640, 0.0947], [0.3872, 0.8360, 0.4053], [0.5665, 0.6037, 0.1348], [0.0240, 0.5000, 0.2500], [0.5665, 0.3963, 0.3652], [0.9760, 0.5000, 0.7500], [0.4335, 0.3963, 0.8652], [0.8461, 0.0211, 0.1698], [0.8952, 0.7226, 0.5205], [0.1048, 0.7226, 0.0205], [0.1539, 0.0211, 0.6698], [0.6997, 0.3067, 0.1622], [0.7784, 0.4263, 0.5613], [0.3003, 0.3067, 0.6622], [0.2216, 0.4263, 0.0613], [0.3003, 0.6933, 0.8378], [0.2216, 0.5737, 0.4387], [0.6997, 0.6933, 0.3378], [0.7784, 0.5737, 0.9387], [0.2218, 0.0000, 0.2500], [0.7782, 0.0000, 0.7500]]
}



Repeat the third record exactly.
{
  "formula": "Eu3Sn13Rh4",
  "functional": "PBE",
  "state": "optimized geometry",
  "e_form_ev_per_atom": -0.5445,
  "lattice": [[-0.3535, -8.7300, -4.5903], [5.6812, 3.5745, -7.2357], [8.0627, -2.9015, 4.8972]],
  "species": ["Sn", "Sn", "Sn", "Sn", "Sn", "Sn", "Sn", "Sn", "Sn", "Sn", "Sn", "Sn", "Sn", "Sn", "Sn", "Sn", "Sn", "Sn", "Sn", "Sn", "Sn", "Sn", "Sn", "Sn", "Sn", "Sn", "Rh", "Rh", "Rh", "Rh", "Rh", "Rh", "Rh", "Rh", "Eu", "Eu", "Eu", "Eu", "Eu", "Eu"],
  "fractional_positions": [[0.3464, 0.8027, 0.5000], [0.5000, 0.5000, 0.5000], [0.6973, 0.8464, 0.0000], [0.0000, 0.0000, 0.0000], [0.0000, 0.3027, 0.8464], [0.6536, 0.8027, 0.5000], [0.6973, 0.1536, 0.0000], [0.1536, 0.0000, 0.6973], [0.8464, 0.0000, 0.6973], [0.0000, 0.6973, 0.1536], [0.5000, 0.6536, 0.1973], [0.5000, 0.3464, 0.1973], [0.1973, 0.5000, 0.6536], [0.3027, 0.8464, 0.0000], [0.0000, 0.6973, 0.8464], [0.8464, 0.0000, 0.3027], [0.8027, 0.5000, 0.6536], [0.5000, 0.6536, 0.8027], [0.3027, 0.1536, 0.0000], [0.1536, 0.0000, 0.3027], [0.3464, 0.1973, 0.5000], [0.6536, 0.1973, 0.5000], [0.8027, 0.5000, 0.3464], [0.5000, 0.3464, 0.8027], [0.0000, 0.3027, 0.1536], [0.1973, 0.5000, 0.3464], [0.7500, 0.2500, 0.7500], [0.2500, 0.2500, 0.7500], [0.7500, 0.2500, 0.2500], [0.2500, 0.7500, 0.7500], [0.7500, 0.7500, 0.7500], [0.7500, 0.7500, 0.2500], [0.2500, 0.7500, 0.2500], [0.2500, 0.2500, 0.2500], [0.7500, 0.5000, 0.0000], [0.0000, 0.2500, 0.5000], [0.5000, 0.0000, 0.7500], [0.5000, 0.0000, 0.2500], [0.0000, 0.7500, 0.5000], [0.2500, 0.5000, 0.0000]]
}



- Number 2 is which compound?
  CaSn4S9